VASP calculation (r2SCAN) on a relaxed NdCrSe3 crystal.

Lattice parameters (Å, degrees): 3.956 8.166 13.722 90.00 90.00 90.00
Fractional coordinates of all 20 atoms:
Nd: 0.250 0.094 0.172
Nd: 0.750 0.406 0.672
Nd: 0.250 0.594 0.328
Nd: 0.750 0.906 0.828
Cr: 0.750 0.661 0.051
Cr: 0.250 0.339 0.949
Cr: 0.750 0.161 0.449
Cr: 0.250 0.839 0.551
Se: 0.250 0.486 0.109
Se: 0.250 0.842 0.994
Se: 0.750 0.514 0.891
Se: 0.250 0.342 0.506
Se: 0.750 0.158 0.006
Se: 0.750 0.810 0.212
Se: 0.250 0.690 0.712
Se: 0.750 0.310 0.288
Se: 0.250 0.190 0.788
Se: 0.750 0.658 0.494
Se: 0.250 0.986 0.391
Se: 0.750 0.014 0.609

Properties
As for the symmetry: Pnma, No. 62.

---

VASP calculation (r2SCAN) on a relaxed CrNi3 crystal.

Lattice parameters (Å, degrees): 3.499 3.499 4.328 113.84 113.84 90.00
Fractional coordinates of all 4 atoms:
Cr: 0.000 0.000 0.000
Ni: 0.500 0.500 0.000
Ni: 0.250 0.750 0.500
Ni: 0.750 0.250 0.500

Properties
As for the symmetry: I4/mmm, No. 139.

---

VASP calculation (r2SCAN) on a relaxed CrNi2 crystal.

Lattice parameters (Å, degrees): 4.258 4.258 4.258 146.58 130.99 60.62
Fractional coordinates of all 3 atoms:
Cr: 0.000 0.000 0.000
Ni: 0.667 0.667 0.000
Ni: 0.333 0.333 0.000

Properties
As for the symmetry: Immm, No. 71.

---

| no. | energy of formation from the pure elements (meV per atom) | total DFT energy (no corrections) (eV per atom) |
| --- | --- | --- |
| 1 | -1516 | -19.00 |
| 2 | 40 | -12.71 |
| 3 | 112 | -12.90 |